#a
Here is an optimized crystal structure of Li2MnF4 from Materials Project. Energies are from PBE with a Hubbard U.

abc: 5.7906 5.7906 5.7906
angles: 111.24 110.16 107.05
Last column: nearest neighbours and their distance in Å.
Fractional coordinates of all 14 atoms:
Li 0.2341 0.0000 0.2341  4 F 1.95-2.07
Li 0.2498 0.5113 0.2615  6 F 1.99-2.16
Li 0.2498 0.9883 0.7385  6 F 1.99-2.16
Li 0.7659 0.0000 0.7659  4 F 1.95-2.07
Mn 0.6187 0.6187 0.0000  4 F 2.06-2.08
Mn 0.8460 0.3460 0.5000  4 F 2.07-2.10
F 0.0172 0.7229 0.2943  3 Li 1.95-2.08, 1 Mn 2.08
F 0.0936 0.2877 0.8059  3 Li 2.00-2.16, 1 Mn 2.07
F 0.4286 0.7229 0.7057  3 Li 1.95-2.08, 1 Mn 2.08
F 0.4818 0.2877 0.1941  3 Li 2.00-2.16, 1 Mn 2.07
F 0.5423 0.2383 0.6960  3 Li 2.03-2.20, 1 Mn 2.06
F 0.5423 0.8463 0.3040  3 Li 2.03-2.20, 1 Mn 2.06
F 0.9662 0.1716 0.2054  3 Li 1.99-2.07, 1 Mn 2.10
F 0.9662 0.7609 0.7946  3 Li 1.99-2.07, 1 Mn 2.10

Results
V: 10.66 Å³/atom
Mass density: 3.22 g/cm3

---

#b
Here is an optimized crystal structure of Li2MnF4 from Materials Project. Energies are from PBE with a Hubbard U.

abc: 5.4036 5.4036 5.4036
angles: 134.30 134.30 66.62
Last column: nearest neighbours and their distance in Å.
Fractional coordinates of all 7 atoms:
Li 0.2500 0.7500 0.5000  6 F 2.10-2.26
Li 0.7500 0.2500 0.5000  6 F 2.10-2.26
Mn 0.0000 0.0000 0.0000  6 F 2.10-2.14
F 0.0000 0.5000 0.5000  2 Mn 2.10, 2 Li 2.26
F 0.2368 0.2368 0.0000  4 Li 2.10, 1 Mn 2.14
F 0.5000 0.0000 0.5000  2 Mn 2.10, 2 Li 2.26
F 0.7632 0.7632 0.0000  4 Li 2.10, 1 Mn 2.14

Results
V: 11.36 Å³/atom
Mass density: 3.02 g/cm3

---

The most stable arrangement is #a, and the next structure is 2.9 kJ/mol of atoms less stable.

---

#a
Here is an optimized crystal structure of Li2MnF4 from Materials Project. Energies are from PBE with a Hubbard U.

abc: 6.6867 6.6867 8.2866
angles: 112.28 112.28 33.50
Last column: nearest neighbours and their distance in Å.
Fractional coordinates of all 14 atoms:
Li 0.0646 0.0646 0.4092  5 F 1.96-2.17
Li 0.3915 0.3915 0.2265  2 F 1.79-1.88
Li 0.6085 0.6085 0.7735  2 F 1.79-1.88
Li 0.9354 0.9354 0.5908  5 F 1.96-2.17
Mn 0.3065 0.3065 0.7379  4 F 1.96-2.16
Mn 0.6935 0.6935 0.2621  4 F 1.96-2.16
F 0.1184 0.1184 0.6654  4 Li 1.96-2.17
F 0.2071 0.2071 0.3621  1 Li 2.01, 2 Mn 2.08
F 0.3525 0.3525 0.9933  1 Li 1.79, 1 Mn 1.96
F 0.4489 0.4489 0.6605  3 Li 1.88-2.00
F 0.5511 0.5511 0.3395  3 Li 1.88-2.00
F 0.6475 0.6475 0.0067  1 Li 1.79, 1 Mn 1.96
F 0.7929 0.7929 0.6379  1 Li 2.01, 2 Mn 2.08
F 0.8816 0.8816 0.3346  4 Li 1.96-2.17

Results
V: 13.41 Å³/atom
Mass density: 2.56 g/cm3

---

#b
Here is an optimized crystal structure of Li2MnF4 from Materials Project. Energies are from PBE with a Hubbard U.

abc: 9.1801 3.0068 10.3683
angles: 90.00 90.00 90.00
Last column: nearest neighbours and their distance in Å.
Fractional coordinates of all 28 atoms:
Li 0.0659 0.2500 0.1160  2 F 1.90-1.95
Li 0.0734 0.2500 0.6134  4 F 1.92-2.11
Li 0.4266 0.7500 0.1134  4 F 1.92-2.11
Li 0.4341 0.7500 0.6160  2 F 1.90-1.95
Li 0.5659 0.2500 0.3840  2 F 1.90-1.95
Li 0.5734 0.2500 0.8866  4 F 1.92-2.11
Li 0.9266 0.7500 0.3866  4 F 1.92-2.11
Li 0.9341 0.7500 0.8840  2 F 1.90-1.95
Mn 0.2503 0.2500 0.3459  7 F 2.22-2.39
Mn 0.2497 0.7500 0.8459  7 F 2.22-2.39
Mn 0.7503 0.2500 0.1541  7 F 2.22-2.39
Mn 0.7497 0.7500 0.6541  7 F 2.22-2.39
F 0.0301 0.7500 0.7217  3 Li 1.90-1.92
F 0.0964 0.2500 0.9303  3 Li 1.95-2.17
F 0.1281 0.7500 0.4607  3 Li 2.00-2.24, 2 Mn 2.22
F 0.2142 0.7500 0.1912  3 Li 2.11-2.17, 2 Mn 2.22
F 0.2858 0.2500 0.6912  3 Li 2.11-2.17, 2 Mn 2.22
F 0.3719 0.2500 0.9607  3 Li 2.00-2.24, 2 Mn 2.22
F 0.4036 0.7500 0.4303  3 Li 1.95-2.17
F 0.4699 0.2500 0.2217  3 Li 1.90-1.92
F 0.5301 0.7500 0.7783  3 Li 1.90-1.92
F 0.5964 0.2500 0.5697  3 Li 1.95-2.17
F 0.6281 0.7500 0.0393  3 Li 2.00-2.24, 2 Mn 2.22
F 0.7142 0.7500 0.3088  3 Li 2.11-2.17, 2 Mn 2.22
F 0.7858 0.2500 0.8088  3 Li 2.11-2.17, 2 Mn 2.22
F 0.8719 0.2500 0.5393  3 Li 2.00-2.24, 2 Mn 2.22
F 0.9036 0.7500 0.0697  3 Li 1.95-2.17
F 0.9699 0.2500 0.2783  3 Li 1.90-1.92

Results
V: 10.22 Å³/atom
Mass density: 3.36 g/cm3

---

#c
Here is an optimized crystal structure of Li2MnF4 from Materials Project. Energies are from PBE with a Hubbard U.

abc: 3.2397 5.2214 9.8022
angles: 82.83 89.83 89.88
Last column: nearest neighbours and their distance in Å.
Fractional coordinates of all 14 atoms:
Li 0.0000 0.0000 0.0000  4 F 1.88-1.97
Li 0.0004 0.0306 0.6516  4 F 1.88-1.97
Li 0.9221 0.5272 0.1497  4 F 1.88-1.98
Li 0.9231 0.5002 0.4996  4 F 1.87-1.98
Mn 0.4326 0.0140 0.3254  6 F 2.06-2.21
Mn 0.4892 0.5155 0.8255  6 F 2.05-2.21
F 0.4221 0.3748 0.2136  2 Li 1.88, 1 Mn 2.06
F 0.4227 0.6702 0.4532  2 Li 1.87-1.88, 1 Mn 2.06
F 0.5000 0.1708 0.9530  2 Li 1.88, 1 Mn 2.06
F 0.5007 0.8758 0.7140  2 Li 1.88, 1 Mn 2.05
F 0.9331 0.1445 0.4536  2 Li 1.97
F 0.9328 0.8837 0.1984  2 Li 1.97-1.98, 2 Mn 2.20-2.21
F 0.9871 0.6454 0.9530  2 Li 1.96
F 0.9904 0.3853 0.6990  2 Li 1.97-1.98, 2 Mn 2.20

Results
V: 11.75 Å³/atom
Mass density: 2.92 g/cm3

---

The most stable arrangement is #c, and the next structure is 3.9 kJ/mol of atoms less stable.